No. 1
First-principles (GGA-PBE) data for an optimized crystal structure of Sm3Ni3Bi4, as listed in Materials Project.

abc: 8.494 8.494 8.494
angles: 109.47 109.47 109.47
Fractional positions:
Sm 0.375 0.625 0.750
Bi 0.000 0.152 0.500
Sm 0.625 0.750 0.375
Bi 0.652 0.500 0.000
Ni 0.375 0.250 0.625
Bi 0.848 0.848 0.848
Bi 0.000 0.652 0.500
Sm 0.250 0.125 0.875
Ni 0.125 0.750 0.875
Sm 0.750 0.375 0.625
Ni 0.625 0.375 0.250
Bi 0.500 0.000 0.652
Bi 0.348 0.348 0.348
Bi 0.500 0.000 0.152
Sm 0.125 0.875 0.250
Ni 0.250 0.625 0.375
Sm 0.875 0.250 0.125
Bi 0.152 0.500 0.000
Ni 0.750 0.875 0.125
Ni 0.875 0.125 0.750

Results
Crystal system: cubic
Magnetic moment: 0.0 Bohr magnetons per cell
Formation energy from the elements: -0.577 eV per atom


No. 2
First-principles (GGA-PBE) data for an optimized crystal structure of SmNiBi, as listed in Materials Project.

abc: 4.646 4.646 4.646
angles: 60.00 60.00 60.00
Fractional positions:
Sm 0.500 0.500 0.500
Ni 0.250 0.250 0.250
Bi 0.000 0.000 0.000

Results
Crystal system: cubic
Formation energy from the elements: -0.668 eV per atom


No. 3
First-principles (GGA-PBE) data for an optimized crystal structure of TbNiBi, as listed in Materials Project.

abc: 4.590 4.590 4.590
angles: 60.00 60.00 60.00
Fractional positions:
Tb 0.500 0.500 0.500
Bi 0.000 0.000 0.000
Ni 0.250 0.250 0.250

Results
Crystal system: cubic
Formation energy from the elements: -0.675 eV per atom


Question: Which of these has the highest formation energy from the elements?
Answer: Sm3Ni3Bi4